Material: OsRh3
Method: DFT, GGA-PBE
State: optimized geometry

POSCAR file:
```
OsRh3
1.0
-0.729 3.838 3.860
-1.497 1.004 -5.188
-3.993 -1.604 0.842
Os Rh
2 6
Direct
0.667 0.333 0.250
0.333 0.667 0.750
0.337 0.168 0.750
0.168 0.832 0.250
0.168 0.337 0.250
0.832 0.663 0.750
0.663 0.832 0.250
0.832 0.168 0.750
```



Material: Sc2OsRh
Method: DFT, GGA-PBE
State: optimized geometry

POSCAR file:
```
Sc2OsRh
1.0
0.244 2.139 4.024
-3.565 2.407 1.525
-2.434 -1.526 3.547
Os Sc Rh
1 2 1
Direct
0.500 0.500 0.500
0.250 0.250 0.250
0.750 0.750 0.750
0.000 0.000 0.000
```



Material: Ti2OsRh
Method: DFT, GGA-PBE
State: optimized geometry

POSCAR file:
```
Ti2OsRh
1.0
0.000 3.105 3.105
3.105 0.000 3.105
3.105 3.105 0.000
Ti Os Rh
2 1 1
Direct
0.750 0.750 0.750
0.250 0.250 0.250
0.500 0.500 0.500
0.000 0.000 0.000
```



Material: OsRu3
Method: DFT, GGA-PBE
State: optimized geometry

POSCAR file:
```
OsRu3
1.0
-1.405 -0.238 -5.282
-0.615 -4.398 3.195
-4.001 1.290 1.006
Ru Os
6 2
Direct
0.167 0.335 0.250
0.833 0.665 0.750
0.665 0.833 0.250
0.335 0.167 0.750
0.167 0.833 0.250
0.833 0.167 0.750
0.333 0.667 0.750
0.667 0.333 0.250
```



Material: Si2OsRu
Method: DFT, GGA-PBE
State: optimized geometry

POSCAR file:
```
Si2OsRu
1.0
0.000 2.951 2.951
2.951 0.000 2.951
2.951 2.951 0.000
Ru Os Si
1 1 2
Direct
0.000 0.000 0.000
0.500 0.500 0.500
0.250 0.250 0.250
0.750 0.750 0.750
```



Material: Zr2OsRu
Method: DFT, GGA-PBE
State: optimized geometry

POSCAR file:
```
Zr2OsRu
1.0
0.000 3.287 3.287
3.287 0.000 3.287
3.287 3.287 0.000
Ru Os Zr
1 1 2
Direct
0.000 0.000 0.000
0.500 0.500 0.500
0.750 0.750 0.750
0.250 0.250 0.250
```



Material: SbOsSe
Method: DFT, GGA-PBE
State: optimized geometry

The total energy after the MP2020 corrections comes out at -79.4 eV/cell.

POSCAR file:
```
SbOsSe
1.0
0.000 -6.376 0.000
-5.934 0.000 2.539
-0.028 0.000 -6.498
Os Se Sb
4 4 4
Direct
0.005 0.287 0.300
0.995 0.713 0.700
0.495 0.287 0.800
0.505 0.713 0.200
0.634 0.650 0.818
0.134 0.350 0.682
0.866 0.650 0.318
0.366 0.350 0.182
0.365 0.856 0.621
0.865 0.144 0.879
0.135 0.856 0.121
0.635 0.144 0.379
```



Material: ScOs3
Method: DFT, GGA-PBE
State: optimized geometry

POSCAR file:
```
ScOs3
1.0
-1.965 1.965 4.022
1.965 -1.965 4.022
1.965 1.965 -4.022
Os Sc
3 1
Direct
0.750 0.250 0.500
0.250 0.750 0.500
0.500 0.500 0.000
0.000 0.000 0.000
```



Material: ScOs3
Method: DFT, GGA-PBE
State: optimized geometry

POSCAR file:
```
ScOs3
1.0
3.957 0.000 0.000
0.000 3.957 0.000
0.000 0.000 3.957
Os Sc
3 1
Direct
0.000 0.500 0.500
0.500 0.500 0.000
0.500 0.000 0.500
0.000 0.000 0.000
```



Material: Sc3Os
Method: DFT, GGA-PBE
State: optimized geometry

POSCAR file:
```
Sc3Os
1.0
3.138 -5.435 0.000
3.138 5.435 0.000
0.000 0.000 4.647
Sc Os
6 2
Direct
0.176 0.824 0.250
0.176 0.352 0.250
0.648 0.824 0.250
0.824 0.648 0.750
0.352 0.176 0.750
0.824 0.176 0.750
0.333 0.667 0.750
0.667 0.333 0.250
```



Material: Sc6Te2Os
Method: DFT, GGA-PBE
State: optimized geometry

POSCAR file:
```
Sc6Te2Os
1.0
2.055 7.400 0.990
-7.292 -1.770 -1.911
-0.926 -0.246 3.764
Sc Te Os
6 2 1
Direct
0.761 0.761 0.000
0.239 0.000 0.000
0.000 0.617 0.500
0.617 0.000 0.500
0.383 0.383 0.500
0.000 0.239 0.000
0.667 0.333 0.000
0.333 0.667 0.000
0.000 0.000 0.500
```



Material: Sc2ZnOs
Method: DFT, GGA-PBE
State: optimized geometry

POSCAR file:
```
Sc2ZnOs
1.0
1.492 -4.245 -1.076
-2.759 -3.656 0.650
-1.786 -2.226 -3.641
Sc Os Zn
2 1 1
Direct
0.250 0.250 0.250
0.750 0.750 0.750
0.500 0.500 0.500
0.000 0.000 0.000
```



Material: ZrScOs2
Method: DFT, GGA-PBE
State: optimized geometry

POSCAR file:
```
ZrScOs2
1.0
0.000 3.257 3.257
3.257 0.000 3.257
3.257 3.257 0.000
Zr Sc Os
1 1 2
Direct
0.000 0.000 0.000
0.500 0.500 0.500
0.750 0.750 0.750
0.250 0.250 0.250
```



Material: OsSe2
Method: DFT, GGA-PBE
State: optimized geometry

The total energy after the MP2020 corrections comes out at -78.8 eV/cell.

POSCAR file:
```
OsSe2
1.0
6.015 0.000 0.000
0.000 6.015 0.000
0.000 0.000 6.015
Se Os
8 4
Direct
0.878 0.378 0.122
0.122 0.878 0.378
0.378 0.122 0.878
0.622 0.622 0.622
0.622 0.878 0.122
0.878 0.122 0.622
0.378 0.378 0.378
0.122 0.622 0.878
0.500 0.000 0.500
0.000 0.000 0.000
0.500 0.500 0.000
0.000 0.500 0.500
```



Material: TaOsSe4
Method: DFT, GGA-PBE
State: optimized geometry

The total energy after the MP2020 corrections comes out at -33.9 eV/cell.

POSCAR file:
```
TaOsSe4
1.0
-0.407 2.646 1.772
2.555 1.675 1.003
-0.482 7.591 -11.446
Se Ta Os
4 1 1
Direct
0.334 0.333 0.920
0.334 0.333 0.580
0.666 0.667 0.428
0.666 0.667 0.072
0.667 0.667 0.250
0.333 0.333 0.750
```



Material: SiOs
Method: DFT, GGA-PBE
State: optimized geometry

POSCAR file:
```
SiOs
1.0
2.959 0.000 0.000
0.000 2.959 0.000
0.000 0.000 2.959
Os Si
1 1
Direct
0.000 0.000 0.000
0.500 0.500 0.500
```



Material: Si2Os
Method: DFT, GGA-PBE
State: optimized geometry

POSCAR file:
```
Si2Os
1.0
4.080 -5.110 0.000
4.080 5.110 0.000
0.000 0.000 8.276
Os Si
8 16
Direct
0.785 0.215 0.000
0.811 0.811 0.818
0.215 0.785 0.000
0.311 0.311 0.682
0.189 0.189 0.182
0.715 0.285 0.500
0.689 0.689 0.318
0.285 0.715 0.500
0.425 0.679 0.776
0.150 0.406 0.942
0.906 0.650 0.558
0.075 0.821 0.276
0.679 0.425 0.776
0.321 0.575 0.224
0.179 0.925 0.724
0.406 0.150 0.942
0.350 0.094 0.442
0.094 0.350 0.442
0.650 0.906 0.558
0.594 0.850 0.058
0.575 0.321 0.224
0.850 0.594 0.058
0.821 0.075 0.276
0.925 0.179 0.724
```



Material: SiOs
Method: DFT, GGA-PBE
State: optimized geometry

The calculation puts the piezoelectric modulus e_max at 1.3 C/m2.

POSCAR file:
```
SiOs
1.0
4.794 0.000 0.000
0.000 4.794 0.000
0.000 0.000 4.794
Si Os
4 4
Direct
0.835 0.835 0.835
0.335 0.665 0.165
0.165 0.335 0.665
0.665 0.165 0.335
0.377 0.877 0.623
0.877 0.623 0.377
0.123 0.123 0.123
0.623 0.377 0.877
```



Material: Si2Os
Method: DFT, GGA-PBE
State: optimized geometry

POSCAR file:
```
Si2Os
1.0
1.502 4.354 0.000
-1.502 4.354 0.000
0.000 3.646 6.572
Si Os
4 2
Direct
0.605 0.605 0.105
0.141 0.141 0.473
0.395 0.395 0.895
0.859 0.859 0.527
0.845 0.845 0.202
0.155 0.155 0.798
```



Material: TbSi2Os2
Method: DFT, GGA-PBE
State: optimized geometry

POSCAR file:
```
TbSi2Os2
1.0
-0.456 4.021 1.056
-3.775 0.045 -1.801
0.098 -3.364 4.569
Si Tb Os
2 1 2
Direct
0.629 0.629 0.257
0.371 0.371 0.743
0.000 0.000 0.000
0.750 0.250 0.500
0.250 0.750 0.500
```



DFT total energy (computed, eV per formula unit): -33.0, -34.1, -37.2, -39.0, -33.4, -40.0, -19.4, -39.6, -39.6, -30.9, -61.9, -26.9, -39.3, -18.8, -32.0, -17.3, -23.4, -17.4, -23.3, -41.6
Formation energy (computed, eV/atom): 0.089, -0.700, -0.709, 0.001, -0.502, -0.593, -0.336, 0.104, 0.099, -0.173, -0.713, -0.441, -0.481, -0.492, 0.529, -0.337, -0.450, -0.364, -0.419, -0.726